(1)
A plane-wave DFT calculation with r²SCAN was carried out for a relaxed structure of Mn7P6H4O24.

The structure in CIF format:
```
data_Mn7P6H4O24
_chemical_formula_sum 'Mn7 P6 H4 O24'
_space_group_name_H-M_alt 'P -1'
_space_group_IT_number 2
_cell_length_a 6.541
_cell_length_b 8.048
_cell_length_c 9.802
_cell_angle_alpha 104.54
_cell_angle_beta 109.35
_cell_angle_gamma 101.35
loop_
_space_group_symop_operation_xyz
'x,y,z'
'-x,-y,-z'
loop_
_atom_site_label
_atom_site_fract_x
_atom_site_fract_y
_atom_site_fract_z
Mn1 0.000 0.000 0.000
Mn2 0.037 0.715 0.511
Mn3 0.283 0.818 0.285
Mn4 0.381 0.456 0.107
P1 0.085 0.581 0.824
P2 0.229 0.142 0.781
P3 0.409 0.230 0.384
H1 0.179 0.874 0.809
H2 0.415 0.494 0.597
O1 0.022 0.166 0.666
O2 0.052 0.545 0.656
O3 0.107 0.780 0.899
O4 0.125 0.539 0.169
O5 0.209 0.935 0.731
O6 0.222 0.186 0.941
O7 0.267 0.063 0.242
O8 0.283 0.303 0.478
O9 0.299 0.538 0.908
O10 0.382 0.802 0.511
O11 0.450 0.241 0.777
O12 0.492 0.383 0.320
```

---

(2)
A plane-wave DFT calculation with r²SCAN was carried out for a relaxed structure of RbMnP3HO10.

The structure in CIF format:
```
data_RbMnP3HO10
_chemical_formula_sum 'Rb4 Mn4 P12 H4 O40'
_space_group_name_H-M_alt 'C 1 2 1'
_space_group_IT_number 5
_cell_length_a 12.196
_cell_length_b 8.559
_cell_length_c 8.815
_cell_angle_alpha 90.00
_cell_angle_beta 106.90
_cell_angle_gamma 90.00
loop_
_space_group_symop_operation_xyz
'x,y,z'
'-x,y,-z'
'x+1/2,y+1/2,z'
'-x+1/2,y+1/2,-z'
loop_
_atom_site_label
_atom_site_fract_x
_atom_site_fract_y
_atom_site_fract_z
Rb1 0.234 0.000 0.257
Mn1 0.000 0.335 0.000
Mn2 0.000 0.845 0.500
P1 0.028 0.622 0.230
P2 0.075 0.128 0.735
P3 0.233 0.438 0.292
H1 0.000 0.265 0.500
H2 0.000 0.756 0.000
O1 0.005 0.998 0.344
O2 0.034 0.683 0.658
O3 0.043 0.493 0.871
O4 0.053 0.173 0.889
O5 0.064 0.748 0.132
O6 0.076 0.263 0.623
O7 0.145 0.549 0.343
O8 0.169 0.326 0.169
O9 0.188 0.874 0.559
O10 0.202 0.057 0.792
```

---

Number 1: energy relative to the elements -8711.9 kJ/mol of formula units, total magnetic moment 0.854 μB/atom. Number 2: energy relative to the elements -3520.0 kJ/mol of formula units, total magnetic moment 0.250 μB/atom.